Record 1
Material: Zr9In14Co7
Method: DFT, r2SCAN
State: optimized geometry

```
Zr9In14Co7
1.0
0.0000 6.6427 6.6427
6.6427 0.0000 6.6427
6.6427 6.6427 0.0000
Zr In Co
9 14 7
Direct
0.0000 0.0000 0.0000
0.1372 0.6209 0.6209
0.3791 0.3791 0.3791
0.3791 0.3791 0.8628
0.3791 0.8628 0.3791
0.6209 0.1372 0.6209
0.6209 0.6209 0.1372
0.6209 0.6209 0.6209
0.8628 0.3791 0.3791
0.0000 0.0000 0.3415
0.0000 0.0000 0.6585
0.0000 0.3415 0.0000
0.0000 0.3415 0.6585
0.0000 0.6585 0.0000
0.0000 0.6585 0.3415
0.2500 0.2500 0.2500
0.3415 0.0000 0.0000
0.3415 0.0000 0.6585
0.3415 0.6585 0.0000
0.6585 0.0000 0.0000
0.6585 0.0000 0.3415
0.6585 0.3415 0.0000
0.7500 0.7500 0.7500
0.2780 0.2780 0.7220
0.2780 0.7220 0.2780
0.2780 0.7220 0.7220
0.5000 0.5000 0.5000
0.7220 0.2780 0.2780
0.7220 0.2780 0.7220
0.7220 0.7220 0.2780
```

Properties
The uncorrected energy is -623.9 eV/f.u. Its crystal system is cubic.

=====

Record 2
Material: Dy3Sc2S7
Method: DFT, r2SCAN
State: optimized geometry

```
Dy3Sc2S7
1.0
6.2096 -1.8657 0.0000
6.2096 1.8657 0.0000
-2.9729 0.0000 10.9642
Dy Sc S
3 2 7
Direct
0.0000 0.0000 0.0000
0.3035 0.3035 0.2006
0.6965 0.6965 0.7994
0.1109 0.1109 0.4291
0.8891 0.8891 0.5709
0.0333 0.0333 0.7770
0.2636 0.2636 0.6383
0.3380 0.3380 0.9462
0.5000 0.5000 0.5000
0.6620 0.6620 0.0538
0.7364 0.7364 0.3617
0.9667 0.9667 0.2230
```

Properties
The uncorrected energy is -202.6 eV/f.u. Its crystal system is monoclinic.

=====

Record 3
Material: K3TmCl6
Method: DFT, r2SCAN
State: optimized geometry

```
K3TmCl6
1.0
12.9534 0.0000 0.0000
0.0000 7.7170 0.0000
-4.0069 0.0000 11.7305
K Tm Cl
12 4 24
Direct
0.0986 0.0372 0.3587
0.0986 0.4628 0.8587
0.3145 0.5635 0.2650
0.3145 0.9365 0.7650
0.3200 0.0700 0.1126
0.3200 0.4300 0.6126
0.6800 0.5700 0.3874
0.6800 0.9300 0.8874
0.6855 0.0635 0.2350
0.6855 0.4365 0.7350
0.9014 0.5372 0.1413
0.9014 0.9628 0.6413
0.0000 0.0000 0.0000
0.0000 0.5000 0.5000
0.5000 0.0000 0.5000
0.5000 0.5000 0.0000
0.1006 0.2134 0.5923
0.1006 0.2866 0.0923
0.1173 0.5033 0.3683
0.1173 0.9967 0.8683
0.1418 0.6733 0.6565
0.1418 0.8267 0.1565
0.3452 0.2124 0.3918
0.3452 0.2876 0.8918
0.3457 0.7096 0.0046
0.3457 0.7904 0.5046
0.5002 0.1385 0.6926
0.5002 0.3615 0.1926
0.4998 0.6385 0.8074
0.4998 0.8615 0.3074
0.6543 0.2096 0.4954
0.6543 0.2904 0.9954
0.6548 0.7124 0.1082
0.6548 0.7876 0.6082
0.8582 0.1733 0.8435
0.8582 0.3267 0.3435
0.8827 0.0033 0.1317
0.8827 0.4967 0.6317
0.8994 0.7134 0.9077
0.8994 0.7866 0.4077
```

Properties
The uncorrected energy is -113.8 eV/f.u. Its crystal system is monoclinic.

=====

Record 4
Material: Na2CdPb
Method: DFT, r2SCAN
State: optimized geometry

```
Na2CdPb
1.0
0.0000 3.6799 3.6799
3.6799 0.0000 3.6799
3.6799 3.6799 0.0000
Na Cd Pb
2 1 1
Direct
0.0000 0.0000 0.0000
0.2500 0.2500 0.2500
0.5000 0.5000 0.5000
0.7500 0.7500 0.7500
```

Properties
The uncorrected energy is -84.4 eV/f.u. Its crystal system is cubic.

=====

| no. | formation enthalpy at 0 K (eV/atom) |
| --- | --- |
| 1 | -0.35 |
| 2 | -2.31 |
| 3 | -2.37 |
| 4 | -0.23 |